A plane-wave DFT calculation with r2SCAN was carried out for crystalline Na5SiP3 at its relaxed geometry.

Geometry as extended XYZ:
```
36
Lattice="7.8768 0.0000 0.0000 0.0000 7.2747 0.0000 -7.7516 0.0000 13.0360" Properties=species:S:1:pos:R:3 pbc="T T T"
Na -1.4512 0.0529 3.1678
Na -5.3270 3.5845 9.6858
Na -2.5966 3.8469 7.5789
Na 1.2792 7.0652 1.0609
Na 0.6556 4.7553 3.3694
Na -3.2202 6.1567 9.8874
Na -4.4383 1.1880 11.9767
Na -0.5625 2.4493 5.4587
Na -1.3057 0.1146 7.6655
Na 2.5701 3.5227 1.1476
Na -2.4450 3.7519 11.8884
Na 1.4308 7.1601 5.3704
Na 0.6876 4.8254 7.5773
Na 4.5634 6.0867 1.0593
Na 3.3454 1.1180 3.1485
Na -0.5304 2.5194 9.6665
Na -1.1540 0.2095 11.9751
Na 2.7218 3.4278 5.4571
Na 5.4521 3.6902 3.3501
Na 1.5763 7.2218 9.8681
Si -4.4353 1.0127 7.6094
Si -0.5595 2.6247 1.0914
Si 0.6847 4.6500 11.9446
Si 4.5605 6.2620 5.4266
P -3.2218 1.3091 5.6659
P -7.0976 2.3283 12.1838
P -1.2183 5.3929 5.4816
P -5.0941 5.5191 11.9996
P -3.2457 1.6746 9.4058
P 0.6301 1.9627 2.8878
P -0.5049 5.3120 10.1482
P 3.3709 5.6001 3.6302
P 5.2193 1.7556 1.0363
P 1.3434 1.8818 7.5543
P 7.2228 4.9464 0.8521
P 3.3470 5.9656 7.3701
```

Summary:
**Energy of formation**: -52.1 kJ/mol of atoms
**Calculated total energy**: -6.496 eV per atom
**Total moment**: 0.0 μB per formula unit
**Space group**: P2_1/c, No. 14

A plane-wave DFT calculation with r2SCAN was carried out for crystalline NaPb at its relaxed geometry.

Geometry as extended XYZ:
```
32
Lattice="-5.2866 5.2866 8.9146 5.2866 -5.2866 8.9146 5.2866 5.2866 -8.9146" Properties=species:S:1:pos:R:3 pbc="T T T"
Na 3.9527 -1.3094 2.2287
Na 2.6433 1.4003 0.0000
Na 9.2392 1.3094 2.2287
Na 1.2430 0.0000 4.4573
Na 6.5296 0.0000 4.4573
Na 3.9527 3.9772 -2.2287
Na 2.6433 -1.4003 8.9146
Na 3.9527 1.3094 6.6860
Na 1.3339 3.9772 2.2287
Na 2.6433 6.6869 0.0000
Na 1.3339 1.3094 11.1433
Na -1.2430 5.2866 4.4573
Na 4.0436 5.2866 4.4573
Na -3.9527 3.9772 6.6860
Na 2.6433 3.8863 8.9146
Na 1.3339 6.5960 6.6860
Pb 3.9051 3.3847 -5.5599
Pb 4.5451 -4.0247 7.8120
Pb 3.9051 -1.9018 5.5599
Pb 6.0280 1.2619 1.1026
Pb 0.7415 4.0247 -1.1026
Pb 3.9051 1.9018 3.3547
Pb 4.5451 4.0247 1.1026
Pb -1.3814 1.9018 5.5599
Pb 6.6680 3.3847 3.3547
Pb 0.7415 1.2619 7.8120
Pb 1.3814 3.3847 5.5599
Pb 4.5451 1.2619 10.0172
Pb -0.7415 4.0247 7.8120
Pb 1.3814 7.1884 3.3547
Pb 0.7415 9.3113 1.1026
Pb 1.3814 1.9018 14.4746
```

Summary:
**Energy of formation**: -26.0 kJ/mol of atoms
**Calculated total energy**: -30.195 eV per atom
**Total moment**: 0.0 μB per formula unit
**Space group**: I4_1/acd, No. 142

A plane-wave DFT calculation with r2SCAN was carried out for crystalline SmCd11 at its relaxed geometry.

Geometry as extended XYZ:
```
36
Lattice="9.3219 0.0000 0.0000 0.0000 9.3219 0.0000 0.0000 0.0000 9.3219" Properties=species:S:1:pos:R:3 pbc="T T T"
Sm 0.0000 0.0000 4.6609
Sm 0.0000 4.6609 0.0000
Sm 4.6609 0.0000 0.0000
Cd 0.0000 3.2150 3.2150
Cd 0.0000 3.2150 6.1069
Cd 0.0000 6.1069 3.2150
Cd 0.0000 6.1069 6.1069
Cd 1.4657 1.4657 1.4657
Cd 1.4657 1.4657 7.8562
Cd 1.4657 7.8562 1.4657
Cd 1.4657 7.8562 7.8562
Cd 2.4782 2.4782 4.6609
Cd 2.4782 4.6609 2.4782
Cd 2.4782 4.6609 6.8437
Cd 2.4782 6.8437 4.6609
Cd 3.2150 0.0000 3.2150
Cd 3.2150 0.0000 6.1069
Cd 3.2150 3.2150 0.0000
Cd 3.2150 6.1069 0.0000
Cd 4.6609 2.4782 2.4782
Cd 4.6609 2.4782 6.8437
Cd 4.6609 4.6609 4.6609
Cd 4.6609 6.8437 2.4782
Cd 4.6609 6.8437 6.8437
Cd 6.1069 0.0000 3.2150
Cd 6.1069 0.0000 6.1069
Cd 6.1069 3.2150 0.0000
Cd 6.1069 6.1069 0.0000
Cd 6.8437 2.4782 4.6609
Cd 6.8437 4.6609 2.4782
Cd 6.8437 4.6609 6.8437
Cd 6.8437 6.8437 4.6609
Cd 7.8562 1.4657 1.4657
Cd 7.8562 1.4657 7.8562
Cd 7.8562 7.8562 1.4657
Cd 7.8562 7.8562 7.8562
```

Summary:
**Energy of formation**: -16.0 kJ/mol of atoms
**Calculated total energy**: -21.073 eV per atom
**Total moment**: 0.0 μB per formula unit
**Space group**: Pm-3m, No. 221

A plane-wave DFT calculation with r2SCAN was carried out for crystalline SrPd3O4 at its relaxed geometry.

Geometry as extended XYZ:
```
16
Lattice="5.8497 0.0000 0.0000 0.0000 5.8497 0.0000 0.0000 0.0000 5.8497" Properties=species:S:1:pos:R:3 pbc="T T T"
Sr 0.0000 0.0000 0.0000
Sr 2.9248 2.9248 2.9248
Pd 0.0000 1.4624 2.9248
Pd 0.0000 4.3872 2.9248
Pd 1.4624 2.9248 0.0000
Pd 2.9248 0.0000 1.4624
Pd 2.9248 0.0000 4.3872
Pd 4.3872 2.9248 0.0000
O 1.4624 1.4624 1.4624
O 1.4624 1.4624 4.3872
O 1.4624 4.3872 1.4624
O 1.4624 4.3872 4.3872
O 4.3872 1.4624 1.4624
O 4.3872 1.4624 4.3872
O 4.3872 4.3872 1.4624
O 4.3872 4.3872 4.3872
```

Summary:
**Energy of formation**: -127.7 kJ/mol of atoms
**Calculated total energy**: -14.813 eV per atom
**Total moment**: 0.0 μB per formula unit
**Space group**: Pm-3n, No. 223